# Sr5Al3F19 (PBE-GGA, optimized geometry)
# Formation energy ... -392 kJ per mole of atoms
# Electronic total energy ... -628.337 eV for the cell shown
data_Sr5Al3F19
_chemical_formula_sum 'Sr20 Al12 F76'
_cell_length_a 14.314
_cell_length_b 14.314
_cell_length_c 7.247
_cell_angle_alpha 90.00
_cell_angle_beta 90.00
_cell_angle_gamma 90.00
_symmetry_space_group_name_H-M 'I 4/m'
_symmetry_Int_Tables_number 87
_symmetry_space_group_name_Hall '-I 4'
loop_
_atom_site_label
_atom_site_type_symbol
_atom_site_fract_x
_atom_site_fract_y
_atom_site_fract_z
Sr1 Sr 0.000 0.500 0.250
Sr2 Sr 0.054 0.219 0.000
Sr3 Sr 0.078 0.752 0.500
Al1 Al 0.000 0.000 0.253
Al2 Al 0.159 0.323 0.500
F1 F 0.000 0.000 0.000
F2 F 0.000 0.000 0.500
F3 F 0.047 0.882 0.241
F4 F 0.048 0.389 0.500
F5 F 0.076 0.383 0.000
F6 F 0.093 0.701 0.175
F7 F 0.105 0.248 0.327
F8 F 0.233 0.243 0.000